1.
A geometry-optimized Li24Mn11CrO36 structure. Source: the Materials Project, functional GGA+U.

```
data_Li24Mn11CrO36
_space_group_name_H-M_alt 'C 1 2 1'
_space_group_IT_number 5
_space_group_name_Hall 'C 2y'
_cell_length_a 5.006
_cell_length_b 25.932
_cell_length_c 9.726
_cell_angle_alpha 90.00
_cell_angle_beta 99.50
_cell_angle_gamma 90.00
loop_
_atom_site_label
_atom_site_fract_x
_atom_site_fract_y
_atom_site_fract_z
_atom_site_occupancy
Li1 0.000 0.000 0.000 1
Li2 0.000 0.166 0.500 1
Li3 0.000 0.333 0.000 1
Li4 0.000 0.499 0.500 1
Li5 0.000 0.666 0.000 1
Li6 0.000 0.833 0.500 1
Li7 0.242 0.554 0.750 1
Li8 0.244 0.613 0.249 1
Li9 0.245 0.279 0.248 1
Li10 0.245 0.445 0.749 1
Li11 0.246 0.000 0.752 1
Li12 0.246 0.387 0.249 1
Li13 0.248 0.332 0.747 1
Li14 0.249 0.667 0.748 1
Li15 0.250 0.221 0.750 1
Mn1 0.000 0.055 0.500 1
Mn2 0.000 0.222 0.000 1
Mn3 0.000 0.277 0.500 1
Mn4 0.000 0.389 0.500 1
Mn5 0.000 0.444 0.000 1
Mn6 0.000 0.555 0.000 1
Mn7 0.000 0.610 0.500 1
Mn8 0.000 0.722 0.500 1
Mn9 0.000 0.777 0.000 1
Mn10 0.000 0.888 0.000 1
Mn11 0.000 0.944 0.500 1
Cr1 0.000 0.110 0.000 1
O1 0.102 0.333 0.385 1
O2 0.103 0.166 0.886 1
O3 0.106 0.499 0.886 1
O4 0.106 0.999 0.386 1
O5 0.107 0.666 0.387 1
O6 0.108 0.833 0.887 1
O7 0.137 0.606 0.888 1
O8 0.141 0.226 0.387 1
O9 0.141 0.559 0.388 1
O10 0.141 0.726 0.888 1
O11 0.142 0.106 0.387 1
O12 0.142 0.273 0.888 1
O13 0.142 0.940 0.888 1
O14 0.143 0.392 0.889 1
O15 0.144 0.060 0.889 1
O16 0.144 0.773 0.388 1
O17 0.145 0.440 0.389 1
O18 0.146 0.893 0.388 1
```

## Properties
Formation energy from the elements: -2.184 eV per atom
Electronic total energy: -0.456 Ry/atom

2.
A geometry-optimized Li4MnCrO6 structure. Source: the Materials Project, functional GGA+U.

```
data_Li4MnCrO6
_space_group_name_H-M_alt 'C 1 2/c 1'
_space_group_IT_number 15
_space_group_name_Hall '-C 2yc'
_cell_length_a 5.048
_cell_length_b 8.638
_cell_length_c 9.743
_cell_angle_alpha 90.00
_cell_angle_beta 99.13
_cell_angle_gamma 90.00
loop_
_atom_site_label
_atom_site_fract_x
_atom_site_fract_y
_atom_site_fract_z
_atom_site_occupancy
Li1 0.000 0.247 0.250 1
Li2 0.240 0.089 0.499 1
Li3 0.250 0.250 0.000 1
Mn1 0.000 0.082 0.750 1
Cr1 0.000 0.421 0.750 1
O1 0.104 0.250 0.636 1
O2 0.136 0.071 0.137 1
O3 0.144 0.431 0.139 1
```

## Properties
Formation energy from the elements: -2.243 eV per atom
Electronic total energy: -0.461 Ry/atom

3.
A geometry-optimized Li4MnCrO6 structure. Source: the Materials Project, functional GGA+U.

```
data_Li4MnCrO6
_space_group_name_H-M_alt 'C 1 2 1'
_space_group_IT_number 5
_space_group_name_Hall 'C 2y'
_cell_length_a 5.049
_cell_length_b 8.642
_cell_length_c 5.114
_cell_angle_alpha 90.00
_cell_angle_beta 109.93
_cell_angle_gamma 90.00
loop_
_atom_site_label
_atom_site_fract_x
_atom_site_fract_y
_atom_site_fract_z
_atom_site_occupancy
Li1 0.000 0.000 0.000 1
Li2 0.000 0.155 0.500 1
Li3 0.000 0.321 0.000 1
Li4 0.000 0.657 0.000 1
Mn1 0.000 0.827 0.500 1
Cr1 0.000 0.488 0.500 1
O1 0.217 0.659 0.727 1
O2 0.245 0.840 0.278 1
O3 0.250 0.479 0.272 1
```

## Properties
Formation energy from the elements: -2.205 eV per atom
Electronic total energy: -0.458 Ry/atom

4.
A geometry-optimized LiMn3CrO8 structure. Source: the Materials Project, functional GGA+U.

```
data_LiMn3CrO8
_space_group_name_H-M_alt 'C 1 2/m 1'
_space_group_IT_number 12
_space_group_name_Hall '-C 2y'
_cell_length_a 10.150
_cell_length_b 5.841
_cell_length_c 6.122
_cell_angle_alpha 90.00
_cell_angle_beta 123.66
_cell_angle_gamma 90.00
loop_
_atom_site_label
_atom_site_fract_x
_atom_site_fract_y
_atom_site_fract_z
_atom_site_occupancy
Li1 0.000 0.000 0.000 1
Mn1 0.000 0.500 0.500 1
Mn2 0.250 0.250 0.500 1
Cr1 0.000 0.000 0.500 1
O1 0.021 0.254 0.305 1
O2 0.235 0.000 0.689 1
O3 0.236 0.500 0.699 1
```

## Properties
Formation energy from the elements: -1.976 eV per atom
Electronic total energy: -0.519 Ry/atom

5.
A geometry-optimized Li3MnCr3O8 structure. Source: the Materials Project, functional GGA+U.

```
data_Li3MnCr3O8
_space_group_name_H-M_alt 'C 1 2/m 1'
_space_group_IT_number 12
_space_group_name_Hall '-C 2y'
_cell_length_a 10.254
_cell_length_b 5.882
_cell_length_c 5.931
_cell_angle_alpha 90.00
_cell_angle_beta 124.81
_cell_angle_gamma 90.00
loop_
_atom_site_label
_atom_site_fract_x
_atom_site_fract_y
_atom_site_fract_z
_atom_site_occupancy
Li1 0.000 0.000 0.000 1
Li2 0.250 0.250 0.000 1
Mn1 0.000 0.500 0.500 1
Cr1 0.000 0.000 0.500 1
Cr2 0.250 0.250 0.500 1
O1 0.009 0.253 0.287 1
O2 0.235 0.000 0.715 1
O3 0.236 0.500 0.722 1
```

## Properties
Formation energy from the elements: -2.265 eV per atom
Electronic total energy: -0.511 Ry/atom

6.
A geometry-optimized Li32Mn5Cr11O48 structure. Source: the Materials Project, functional GGA+U.

```
data_Li32Mn5Cr11O48
_space_group_name_H-M_alt 'C 1 2 1'
_space_group_IT_number 5
_space_group_name_Hall 'C 2y'
_cell_length_a 5.040
_cell_length_b 8.688
_cell_length_c 38.481
_cell_angle_alpha 90.00
_cell_angle_beta 92.10
_cell_angle_gamma 90.00
loop_
_atom_site_label
_atom_site_fract_x
_atom_site_fract_y
_atom_site_fract_z
_atom_site_occupancy
Li1 0.000 0.000 0.000 1
Li2 0.000 0.501 0.500 1
Li3 0.059 0.339 0.187 1
Li4 0.060 0.840 0.688 1
Li5 0.062 0.499 0.688 1
Li6 0.062 0.997 0.188 1
Li7 0.066 0.159 0.688 1
Li8 0.066 0.662 0.188 1
Li9 0.124 0.498 0.875 1
Li10 0.125 0.999 0.375 1
Li11 0.184 0.659 0.562 1
Li12 0.186 0.497 0.063 1
Li13 0.187 0.162 0.062 1
Li14 0.188 0.338 0.562 1
Li15 0.189 0.002 0.562 1
Li16 0.190 0.839 0.063 1
Li17 0.249 0.001 0.750 1
Mn1 0.000 0.167 0.500 1
Mn2 0.125 0.832 0.875 1
Mn3 0.250 0.333 0.750 1
Cr1 0.000 0.334 0.000 1
Cr2 0.000 0.666 0.000 1
Cr3 0.000 0.835 0.500 1
Cr4 0.123 0.164 0.875 1
Cr5 0.125 0.328 0.375 1
Cr6 0.125 0.670 0.375 1
Cr7 0.249 0.670 0.750 1
O1 0.007 0.499 0.597 1
O2 0.007 0.999 0.096 1
O3 0.037 0.181 0.597 1
O4 0.037 0.817 0.597 1
O5 0.049 0.323 0.097 1
O6 0.049 0.680 0.097 1
O7 0.079 0.318 0.278 1
O8 0.079 0.820 0.778 1
O9 0.084 0.679 0.278 1
O10 0.085 0.179 0.778 1
O11 0.117 0.999 0.279 1
O12 0.120 0.500 0.778 1
O13 0.133 0.001 0.471 1
O14 0.134 0.500 0.971 1
O15 0.174 0.676 0.472 1
O16 0.175 0.319 0.472 1
O17 0.177 0.178 0.972 1
O18 0.177 0.822 0.972 1
O19 0.200 0.180 0.153 1
O20 0.202 0.822 0.153 1
O21 0.213 0.318 0.653 1
O22 0.213 0.682 0.653 1
O23 0.241 0.498 0.154 1
O24 0.244 0.999 0.653 1
```

## Properties
Formation energy from the elements: -2.199 eV per atom
Electronic total energy: -0.458 Ry/atom